Below is crystalline K2MnC4O10 at its relaxed geometry, with properties calculated at the r²SCAN level.

abc: 7.078 7.078 10.181
angles: 90.00 90.00 113.66
Atoms (fractional coordinates):
K: 0.362 0.163 0.206
K: 0.837 0.638 0.206
K: 0.638 0.837 0.706
K: 0.163 0.362 0.706
Mn: 0.175 0.825 0.490
Mn: 0.825 0.175 0.990
C: 0.341 0.659 0.290
C: 0.659 0.341 0.790
C: 0.415 0.585 0.414
C: 0.585 0.415 0.914
C: 0.861 0.139 0.278
C: 0.139 0.861 0.778
C: 0.930 0.070 0.413
C: 0.070 0.930 0.913
O: 0.232 0.768 0.315
O: 0.768 0.232 0.815
O: 0.382 0.618 0.181
O: 0.618 0.382 0.681
O: 0.358 0.642 0.521
O: 0.642 0.358 0.021
O: 0.518 0.482 0.401
O: 0.482 0.518 0.901
O: 0.758 0.242 0.287
O: 0.242 0.758 0.787
O: 0.922 0.078 0.174
O: 0.078 0.922 0.674
O: 0.880 0.120 0.517
O: 0.120 0.880 0.017
O: 0.039 0.961 0.393
O: 0.961 0.039 0.893
O: 0.391 0.005 0.533
O: 0.995 0.609 0.533
O: 0.609 0.995 0.033
O: 0.005 0.391 0.033

spin magnetization: 1.00 μB/f.u.
theoretical density: 2.425 g/cm³
ΔH_f (0 K): -1.302 eV per atom